1.
Here is a relaxed structure of U6Al8Fe5Si9 from the Materials Project. Energies are from PBE.

MP2020-corrected energy, hartree per atom: -0.261

Lattice parameters (Å, degrees): 4.1053 12.1951 18.0996 90.00 90.00 90.00
Space group Immm (No. 71)
Asymmetric unit:
U  0.0000  0.0000  0.1284
U  0.0000  0.3143  0.1251
Al  0.0000  0.0000  0.3846
Al  0.0000  0.1486  0.0000
Al  0.0000  0.1645  0.5000
Al  0.0000  0.5000  0.2345
Fe  0.0000  0.3154  0.2855
Fe  0.0000  0.5000  0.5000
Si  0.0000  0.1303  0.2620
Si  0.0000  0.3453  0.4114
Si  0.0000  0.5000  0.0000

2.
Here is a relaxed structure of SmAl9Fe3 from the Materials Project. Energies are from PBE.

Lattice parameters (Å, degrees): 5.0630 12.6177 6.7114 90.00 111.49 90.00
Space group C2/m (No. 12)
Asymmetric unit:
Sm  0.0000  0.0000  0.0000
Al  0.0000  0.0000  0.5000
Al  0.0967  0.3863  0.2152
Al  0.1769  0.1773  0.3376
Fe  0.0000  0.5000  0.5000
Fe  0.2500  0.2500  0.0000

3.
Here is a relaxed structure of Sm12Al5Fe14 from the Materials Project. Energies are from PBE.

Lattice parameters (Å, degrees): 8.7978 9.3636 9.4232 119.76 90.42 90.02
Space group P-1 (No. 2)
Asymmetric unit:
Sm  0.1211  0.1728  0.3265
Sm  0.1219  0.6530  0.3254
Sm  0.1257  0.1744  0.8492
Sm  0.3335  0.5372  0.9577
Sm  0.3330  0.5402  0.5784
Sm  0.3330  0.9195  0.9620
Al  0.0000  0.0000  0.0000
Al  0.0000  0.5000  0.0000
Al  0.0000  0.5000  0.5000
Al  0.3875  0.3340  0.1689
Fe  0.0000  0.0000  0.5000
Fe  0.2815  0.1816  0.5904
Fe  0.2815  0.9085  0.5912
Fe  0.2862  0.9051  0.3102
Fe  0.4659  0.1569  0.8136
Fe  0.4668  0.1553  0.3422
Fe  0.4666  0.6887  0.3454
Fe  0.5000  0.0000  0.5000

4.
Here is a relaxed structure of Sm6Al3Fe11 from the Materials Project. Energies are from PBE.

Lattice parameters (Å, degrees): 8.0370 8.0370 23.1634 90.00 90.00 90.00
Space group I4cm (No. 108)
Asymmetric unit:
Sm  0.0000  0.0000  0.0000
Sm  0.0000  0.0000  0.2100
Sm  0.1667  0.3333  0.4204
Sm  0.1695  0.3305  0.7948
Al  0.0000  0.0000  0.3548
Al  0.1197  0.3803  0.1995
Fe  0.0000  0.5000  0.1036
Fe  0.0687  0.2097  0.1043
Fe  0.1132  0.3868  0.0096
Fe  0.1752  0.3248  0.6623
Fe  0.1789  0.3211  0.5451

Number 1: total DFT energy (no corrections) -7.14 eV per atom, formation energy from the elements -0.37 eV per atom. Number 2: total DFT energy (no corrections) -5.29 eV per atom, formation energy from the elements -0.38 eV per atom. Number 3: total DFT energy (no corrections) -6.12 eV per atom, formation energy from the elements 0.14 eV per atom. Number 4: total DFT energy (no corrections) -6.78 eV per atom, formation energy from the elements -0.14 eV per atom.